## NaTaSn3P6O24 (PBE)

Data for a geometry-optimized NaTaSn3P6O24 structure.

Lattice parameters (Å, degrees): 8.7278 8.7278 22.7994 90.00 90.00 120.00
With the nearest neighbours (Å) after each atom.
Fractional coordinates of all 105 atoms:
1 O 0.6423 0.5000 0.9221  1 P 1.55
2 O 0.1553 0.4543 0.9722  1 P 1.54
3 O 0.8028 0.9704 0.4110  1 P 1.52
4 O 0.5001 0.3598 0.4235  1 P 1.55
5 O 0.9784 0.1713 0.5945  1 P 1.55
6 O 0.0296 0.8324 0.4110  1 P 1.52
7 O 0.5457 0.7010 0.9722  1 P 1.54
8 O 0.1661 0.4698 0.2559  1 P 1.52
9 O 0.3090 0.4703 0.4712  1 P 1.57
10 O 0.2112 0.0376 0.3054  1 P 1.53
11 O 0.9621 0.7873 0.8051  1 P 1.53
12 O 0.8408 0.5498 0.0282  1 P 1.54
13 O 0.3678 0.8787 0.8608  1 P 1.54
14 O 0.0241 0.1910 0.9112  1 P 1.55
15 O 0.3038 0.8339 0.2559  1 P 1.52
16 O 0.8780 0.5112 0.1386  1 P 1.53
17 O 0.6268 0.5079 0.6382  1 P 1.52
18 O 0.4738 0.3071 0.7430  1 P 1.54
19 O 0.8598 0.4999 0.4235  1 P 1.55
20 O 0.1407 0.4955 0.5722  1 P 1.55
21 O 0.1613 0.6910 0.4712  1 P 1.57
22 O 0.8332 0.3072 0.2434  1 P 1.54
23 O 0.4502 0.2909 0.0282  1 P 1.54
24 O 0.5109 0.6322 0.8608  1 P 1.54
25 O 0.6928 0.5260 0.2434  1 P 1.54
26 O 0.6929 0.1667 0.7430  1 P 1.54
27 O 0.2990 0.8447 0.9722  1 P 1.54
28 O 0.8090 0.8332 0.9112  1 P 1.55
29 O 0.4888 0.3668 0.1386  1 P 1.53
30 O 0.0246 0.1967 0.1957  1 P 1.57
31 O 0.5000 0.1423 0.9221  1 P 1.55
32 O 0.5297 0.8387 0.4712  1 P 1.57
33 O 0.1213 0.4891 0.8608  1 P 1.54
34 O 0.8287 0.8072 0.5945  1 P 1.55
35 O 0.4921 0.1189 0.6382  1 P 1.52
36 O 0.5050 0.8591 0.0756  1 P 1.52
37 O 0.5302 0.6962 0.2559  1 P 1.52
38 O 0.1668 0.9759 0.9112  1 P 1.55
39 O 0.4740 0.1668 0.2434  1 P 1.54
40 O 0.5045 0.6452 0.5722  1 P 1.55
41 O 0.7091 0.1592 0.0282  1 P 1.54
42 O 0.3040 0.4703 0.7556  1 P 1.52
43 O 0.8252 0.0379 0.8051  1 P 1.53
44 O 0.1222 0.6291 0.3613  1 P 1.53
45 O 0.8333 0.5262 0.7430  1 P 1.54
46 O 0.7066 0.5476 0.5284  1 P 1.53
47 O 0.5068 0.8778 0.3613  1 P 1.53
48 O 0.9624 0.1736 0.3054  1 P 1.53
49 O 0.8264 0.7888 0.3054  1 P 1.53
50 O 0.1720 0.1965 0.6954  1 P 1.56
51 O 0.8410 0.2934 0.5284  1 P 1.53
52 O 0.1928 0.0216 0.5945  1 P 1.55
53 O 0.6332 0.1220 0.1386  1 P 1.53
54 O 0.3541 0.4950 0.0756  1 P 1.52
55 O 0.0245 0.8280 0.6954  1 P 1.56
56 O 0.1663 0.6960 0.7556  1 P 1.52
57 O 0.8035 0.9755 0.6954  1 P 1.56
58 O 0.8577 0.3577 0.9221  1 P 1.55
59 O 0.2127 0.1748 0.8051  1 P 1.53
60 O 0.8334 0.0243 0.0928  1 P 1.57
61 O 0.1409 0.6459 0.0756  1 P 1.52
62 O 0.1676 0.1972 0.4110  1 P 1.52
63 O 0.1909 0.1666 0.0928  1 P 1.57
64 O 0.1721 0.9754 0.1957  1 P 1.57
65 O 0.8811 0.3732 0.6382  1 P 1.52
66 O 0.3709 0.4932 0.3613  1 P 1.53
67 O 0.9757 0.8091 0.0928  1 P 1.57
68 O 0.3548 0.8593 0.5722  1 P 1.55
69 O 0.6402 0.1402 0.4235  1 P 1.55
70 O 0.5297 0.8337 0.7556  1 P 1.52
71 O 0.4524 0.1590 0.5284  1 P 1.53
72 O 0.8033 0.8279 0.1957  1 P 1.57
73 P 0.9572 0.6223 0.0832  4 O 1.52-1.57
74 P 0.0433 0.3767 0.9165  4 O 1.54-1.55
75 P 0.6650 0.0428 0.0832  4 O 1.52-1.57
76 P 0.0443 0.6667 0.4160  4 O 1.52-1.57
77 P 0.7107 0.7101 0.2508  4 O 1.52-1.57
78 P 0.9994 0.2893 0.2508  4 O 1.52-1.57
79 P 0.3785 0.0451 0.5834  4 O 1.52-1.55
80 P 0.3334 0.9567 0.9165  4 O 1.54-1.55
81 P 0.3777 0.3350 0.0832  4 O 1.52-1.57
82 P 0.2899 0.0006 0.2508  4 O 1.52-1.57
83 P 0.2899 0.2898 0.7502  4 O 1.52-1.56
84 P 0.9549 0.3334 0.5834  4 O 1.52-1.55
85 P 0.6233 0.6666 0.9165  4 O 1.54-1.55
86 P 0.9999 0.7101 0.7502  4 O 1.52-1.56
87 P 0.7102 0.0001 0.7502  4 O 1.52-1.56
88 P 0.6666 0.6215 0.5834  4 O 1.52-1.55
89 P 0.3333 0.3776 0.4160  4 O 1.52-1.57
90 P 0.6224 0.9557 0.4160  4 O 1.52-1.57
91 Ta 0.0000 0.0000 0.1466  6 O 1.97-1.99
92 Ta 0.0000 0.0000 0.6452  6 O 1.97-1.98
93 Ta 0.3333 0.6667 0.5212  6 O 1.97-1.98
94 Sn 0.6667 0.3333 0.9805  6 O 2.05-2.06
95 Sn 0.3333 0.6667 0.3111  6 O 2.04-2.05
96 Sn 0.0000 0.0000 0.8529  6 O 2.03-2.06
97 Sn 0.6667 0.3333 0.4805  6 O 2.04-2.05
98 Sn 0.6667 0.3333 0.1856  6 O 2.02-2.06
99 Sn 0.0000 0.0000 0.3555  6 O 2.05
100 Sn 0.6667 0.3333 0.6860  6 O 2.04-2.05
101 Sn 0.3333 0.6667 0.0206  6 O 2.03-2.05
102 Sn 0.3333 0.6667 0.8117  6 O 2.05
103 Na 0.6667 0.3333 0.8339  6 O 2.55-2.61
104 Na 0.0000 0.0000 0.9981  6 O 2.53-2.67
105 Na 0.6667 0.3333 0.3331  6 O 2.59-2.60

Calculated values
- ΔE_f: -2.64 eV/atom